[1]
Below is a relaxed NaHfSnWO6 crystal, with properties calculated at the PBE with a Hubbard U level.

Cell: 5.739 5.739 5.739 Å, 60.00 60.00 60.00°
Element x y z (fractional)
Na 0.000 0.000 0.000
Hf 0.750 0.750 0.750
Sn 0.500 0.500 0.500
W 0.250 0.250 0.250
O 0.005 0.005 0.495
O 0.005 0.495 0.005
O 0.005 0.495 0.495
O 0.495 0.005 0.005
O 0.495 0.005 0.495
O 0.495 0.495 0.005

Properties
Calculated formation energy (eV per formula unit): -24.601

[2]
Below is a relaxed Li3TiNi3O8 crystal, with properties calculated at the PBE with a Hubbard U level.

Cell: 5.746 5.854 8.497 Å, 89.26 89.99 89.99°
Element x y z (fractional)
Li 0.000 0.000 0.500
Li 0.500 0.500 0.000
Li 0.750 0.250 0.250
Li 0.250 0.750 0.750
Li 0.250 0.250 0.250
Li 0.750 0.750 0.750
Ti 0.000 0.000 0.000
Ti 0.500 0.500 0.500
Ni 0.000 0.500 0.500
Ni 0.500 0.000 0.000
Ni 0.750 0.750 0.250
Ni 0.250 0.250 0.750
Ni 0.250 0.750 0.250
Ni 0.750 0.250 0.750
O 0.000 0.989 0.236
O 0.501 0.489 0.736
O 0.999 0.011 0.764
O 0.500 0.511 0.264
O 0.500 0.985 0.221
O 0.999 0.484 0.721
O 0.501 0.016 0.779
O 0.000 0.516 0.279
O 0.240 0.722 0.501
O 0.740 0.222 0.000
O 0.760 0.722 0.500
O 0.260 0.222 0.000
O 0.240 0.278 0.500
O 0.740 0.778 0.000
O 0.760 0.278 0.500
O 0.260 0.778 0.000

Properties
Calculated formation energy (eV per formula unit): -28.289

[3]
Below is a relaxed LiV3O4 crystal, with properties calculated at the PBE with a Hubbard U level.

Cell: 5.284 5.284 6.085 Å, 90.00 90.00 109.81°
Element x y z (fractional)
Li 0.250 0.750 0.750
Li 0.750 0.250 0.250
V 0.250 0.250 0.001
V 0.250 0.250 0.501
V 0.250 0.750 0.250
V 0.750 0.250 0.750
V 0.750 0.750 0.499
V 0.750 0.750 0.999
O 0.000 0.500 0.000
O 0.000 0.500 0.500
O 0.013 0.987 0.250
O 0.487 0.513 0.250
O 0.500 0.000 0.000
O 0.500 0.000 0.500
O 0.513 0.487 0.750
O 0.987 0.013 0.750

Properties
Calculated formation energy (eV per formula unit): -18.220
ΔE to the lowest computed polymorph (meV per atom): 11